(1)
Material: Te2Mo3WSe4S2
Method: DFT, PBE-GGA
State: relaxed

Lattice parameters (Å, degrees): 3.3419 3.3419 38.1837 90.00 90.00 120.00
Space group P3m1 (No. 156)
Inequivalent atoms, fractional coordinates:
Te1 0.0000 0.0000 0.0000 (multiplicity 1)
Te2 0.0000 0.0000 0.0993 (multiplicity 1)
Mo1 0.0000 0.0000 0.2376 (multiplicity 1)
Mo2 0.0000 0.0000 0.8617 (multiplicity 1)
Mo3 0.3333 0.6667 0.0497 (multiplicity 1)
W1 0.3333 0.6667 0.4254 (multiplicity 1)
Se1 0.3333 0.6667 0.1939 (multiplicity 1)
Se2 0.3333 0.6667 0.2813 (multiplicity 1)
Se3 0.3333 0.6667 0.8180 (multiplicity 1)
Se4 0.3333 0.6667 0.9054 (multiplicity 1)
S1 0.0000 0.0000 0.3855 (multiplicity 1)
S2 0.0000 0.0000 0.4653 (multiplicity 1)

E (MP2020) = -6.82 eV/atom
Total moment = 0.0 μB per formula unit
Energy of formation from the pure elements = -0.65 eV per atom


(2)
Material: MoWSe2S2
Method: DFT, PBE-GGA
State: relaxed

Lattice parameters (Å, degrees): 3.2531 3.2531 36.8800 90.00 90.00 120.00
Space group P3m1 (No. 156)
Inequivalent atoms, fractional coordinates:
Mo1 0.0000 0.0000 0.0000 (multiplicity 1)
Mo2 0.3333 0.6667 0.1879 (multiplicity 1)
W1 0.0000 0.0000 0.3758 (multiplicity 1)
W2 0.3333 0.6667 0.5636 (multiplicity 1)
Se1 0.0000 0.0000 0.1419 (multiplicity 1)
Se2 0.0000 0.0000 0.2339 (multiplicity 1)
Se3 0.0000 0.0000 0.5173 (multiplicity 1)
Se4 0.0000 0.0000 0.6100 (multiplicity 1)
S1 0.3333 0.6667 0.0419 (multiplicity 1)
S2 0.3333 0.6667 0.3337 (multiplicity 1)
S3 0.3333 0.6667 0.4177 (multiplicity 1)
S4 0.3333 0.6667 0.9581 (multiplicity 1)

E (MP2020) = -7.39 eV/atom
Total moment = 0.0 μB per formula unit
Energy of formation from the pure elements = -0.88 eV per atom


(3)
Material: MoWSe2S2
Method: DFT, PBE-GGA
State: relaxed

Lattice parameters (Å, degrees): 3.2534 3.2534 22.9990 90.00 90.00 120.00
Space group P3m1 (No. 156)
Inequivalent atoms, fractional coordinates:
Mo1 0.0000 0.0000 0.0000 (multiplicity 1)
W1 0.3333 0.6667 0.3010 (multiplicity 1)
Se1 0.3333 0.6667 0.0739 (multiplicity 1)
Se2 0.3333 0.6667 0.9261 (multiplicity 1)
S1 0.0000 0.0000 0.2336 (multiplicity 1)
S2 0.0000 0.0000 0.3684 (multiplicity 1)

E (MP2020) = -7.41 eV/atom
Total moment = 0.0 μB per formula unit
Energy of formation from the pure elements = -0.90 eV per atom


(4)
Material: MoW3Se4S4
Method: DFT, PBE-GGA
State: relaxed

Lattice parameters (Å, degrees): 3.2557 3.2557 36.9460 90.00 90.00 120.00
Space group P3m1 (No. 156)
Inequivalent atoms, fractional coordinates:
Mo1 0.0000 0.0000 0.0000 (multiplicity 1)
W1 0.0000 0.0000 0.6243 (multiplicity 1)
W2 0.3333 0.6667 0.1880 (multiplicity 1)
W3 0.3333 0.6667 0.8122 (multiplicity 1)
Se1 0.0000 0.0000 0.1417 (multiplicity 1)
Se2 0.0000 0.0000 0.2342 (multiplicity 1)
Se3 0.3333 0.6667 0.0460 (multiplicity 1)
Se4 0.3333 0.6667 0.9540 (multiplicity 1)
S1 0.0000 0.0000 0.7702 (multiplicity 1)
S2 0.0000 0.0000 0.8541 (multiplicity 1)
S3 0.3333 0.6667 0.5823 (multiplicity 1)
S4 0.3333 0.6667 0.6663 (multiplicity 1)

E (MP2020) = -7.56 eV/atom
Total moment = 0.0 μB per formula unit
Energy of formation from the pure elements = -0.87 eV per atom


(5)
Material: MoWSe3S
Method: DFT, PBE-GGA
State: relaxed

Lattice parameters (Å, degrees): 3.2862 3.2862 37.3659 90.00 90.00 120.00
Space group P3m1 (No. 156)
Inequivalent atoms, fractional coordinates:
Mo1 0.0000 0.0000 0.0000 (multiplicity 1)
Mo2 0.3333 0.6667 0.5636 (multiplicity 1)
W1 0.0000 0.0000 0.3757 (multiplicity 1)
W2 0.3333 0.6667 0.1879 (multiplicity 1)
Se1 0.0000 0.0000 0.5185 (multiplicity 1)
Se2 0.0000 0.0000 0.6088 (multiplicity 1)
Se3 0.3333 0.6667 0.0451 (multiplicity 1)
Se4 0.3333 0.6667 0.3303 (multiplicity 1)
Se5 0.3333 0.6667 0.4211 (multiplicity 1)
Se6 0.3333 0.6667 0.9549 (multiplicity 1)
S1 0.0000 0.0000 0.1466 (multiplicity 1)
S2 0.0000 0.0000 0.2291 (multiplicity 1)

E (MP2020) = -7.16 eV/atom
Total moment = 0.0 μB per formula unit
Energy of formation from the pure elements = -0.75 eV per atom


(6)
Material: MoW3Se6S2
Method: DFT, PBE-GGA
State: relaxed

Lattice parameters (Å, degrees): 3.2931 3.2931 37.5880 90.00 90.00 120.00
Space group P3m1 (No. 156)
Inequivalent atoms, fractional coordinates:
Mo1 0.0000 0.0000 0.0000 (multiplicity 1)
W1 0.0000 0.0000 0.3757 (multiplicity 1)
W2 0.6667 0.3333 0.1878 (multiplicity 1)
W3 0.6667 0.3333 0.8121 (multiplicity 1)
Se1 0.0000 0.0000 0.1428 (multiplicity 1)
Se2 0.0000 0.0000 0.2329 (multiplicity 1)
Se3 0.0000 0.0000 0.7671 (multiplicity 1)
Se4 0.0000 0.0000 0.8572 (multiplicity 1)
Se5 0.6667 0.3333 0.3307 (multiplicity 1)
Se6 0.6667 0.3333 0.4208 (multiplicity 1)
S1 0.6667 0.3333 0.0408 (multiplicity 1)
S2 0.6667 0.3333 0.9592 (multiplicity 1)

E (MP2020) = -7.29 eV/atom
Total moment = 0.0 μB per formula unit
Energy of formation from the pure elements = -0.71 eV per atom